[1]
Below is an optimized crystal structure of BaSb3, with properties calculated at the r²SCAN level. Values from VASP.

Cell and atoms, written as Quantum ESPRESSO input:
```
&SYSTEM
  ibrav = 0, nat = 8, ntyp = 2
/
ATOMIC_SPECIES
Ba 137.33 Ba.upf
Sb 121.76 Sb.upf
CELL_PARAMETERS angstrom
5.476 -4.334 0.000
5.476 4.334 0.000
-2.534 0.000 6.069
ATOMIC_POSITIONS crystal
Ba 0.165 0.165 0.324
Ba 0.835 0.835 0.676
Sb 0.086 0.638 0.200
Sb 0.362 0.914 0.800
Sb 0.490 0.490 0.776
Sb 0.510 0.510 0.224
Sb 0.638 0.086 0.200
Sb 0.914 0.362 0.800
```

* crystal system: monoclinic
* E_tot: -26.556 eV per atom
* formation enthalpy at 0 K: -0.65 eV/atom


[2]
Below is an optimized crystal structure of Ba5Sb4, with properties calculated at the r²SCAN level. Values from VASP.

Cell and atoms, written as Quantum ESPRESSO input:
```
&SYSTEM
  ibrav = 0, nat = 36, ntyp = 2
/
ATOMIC_SPECIES
Ba 137.33 Ba.upf
Sb 121.76 Sb.upf
CELL_PARAMETERS angstrom
9.144 0.000 0.000
0.000 18.002 0.000
0.000 0.000 9.191
ATOMIC_POSITIONS crystal
Ba 0.076 0.103 0.166
Ba 0.076 0.397 0.166
Ba 0.086 0.604 0.337
Ba 0.086 0.896 0.337
Ba 0.246 0.250 0.502
Ba 0.254 0.750 0.002
Ba 0.414 0.104 0.837
Ba 0.414 0.396 0.837
Ba 0.424 0.603 0.666
Ba 0.424 0.897 0.666
Ba 0.576 0.103 0.334
Ba 0.576 0.397 0.334
Ba 0.586 0.604 0.163
Ba 0.586 0.896 0.163
Ba 0.746 0.250 0.998
Ba 0.754 0.750 0.498
Ba 0.914 0.104 0.663
Ba 0.914 0.396 0.663
Ba 0.924 0.603 0.834
Ba 0.924 0.897 0.834
Sb 0.133 0.250 0.891
Sb 0.142 0.750 0.615
Sb 0.247 0.052 0.504
Sb 0.247 0.448 0.504
Sb 0.253 0.552 0.004
Sb 0.253 0.948 0.004
Sb 0.358 0.250 0.115
Sb 0.367 0.750 0.391
Sb 0.633 0.250 0.609
Sb 0.642 0.750 0.885
Sb 0.747 0.052 0.996
Sb 0.747 0.448 0.996
Sb 0.753 0.552 0.496
Sb 0.753 0.948 0.496
Sb 0.858 0.250 0.385
Sb 0.867 0.750 0.109
```

* crystal system: orthorhombic
* E_tot: -27.385 eV per atom
* formation enthalpy at 0 K: -1.24 eV/atom


[3]
Below is an optimized crystal structure of Ba2Sb3, with properties calculated at the r²SCAN level. Values from VASP.

Cell and atoms, written as Quantum ESPRESSO input:
```
&SYSTEM
  ibrav = 0, nat = 40, ntyp = 2
/
ATOMIC_SPECIES
Ba 137.33 Ba.upf
Sb 121.76 Sb.upf
CELL_PARAMETERS angstrom
7.039 0.000 0.000
0.000 13.675 0.000
-0.073 0.000 16.061
ATOMIC_POSITIONS crystal
Ba 0.025 0.227 0.239
Ba 0.025 0.273 0.739
Ba 0.247 0.623 0.007
Ba 0.247 0.877 0.507
Ba 0.253 0.126 0.992
Ba 0.253 0.374 0.492
Ba 0.473 0.524 0.245
Ba 0.473 0.976 0.745
Ba 0.527 0.024 0.255
Ba 0.527 0.476 0.755
Ba 0.747 0.626 0.508
Ba 0.747 0.874 0.008
Ba 0.753 0.123 0.493
Ba 0.753 0.377 0.993
Ba 0.975 0.727 0.261
Ba 0.975 0.773 0.761
Sb 0.000 0.020 0.670
Sb 0.000 0.480 0.170
Sb 0.000 0.520 0.830
Sb 0.000 0.980 0.330
Sb 0.104 0.550 0.658
Sb 0.104 0.950 0.158
Sb 0.242 0.115 0.418
Sb 0.242 0.385 0.918
Sb 0.259 0.634 0.428
Sb 0.259 0.866 0.928
Sb 0.409 0.706 0.666
Sb 0.409 0.794 0.166
Sb 0.495 0.231 0.660
Sb 0.495 0.269 0.160
Sb 0.505 0.731 0.840
Sb 0.505 0.769 0.340
Sb 0.591 0.206 0.834
Sb 0.591 0.294 0.334
Sb 0.741 0.134 0.072
Sb 0.741 0.366 0.572
Sb 0.758 0.615 0.082
Sb 0.758 0.885 0.582
Sb 0.896 0.050 0.842
Sb 0.896 0.450 0.342
```

* crystal system: monoclinic
* E_tot: -27.017 eV per atom
* formation enthalpy at 0 K: -0.99 eV/atom


[4]
Below is an optimized crystal structure of Ba2Sn3Sb6, with properties calculated at the r²SCAN level. Values from VASP.

Cell and atoms, written as Quantum ESPRESSO input:
```
&SYSTEM
  ibrav = 0, nat = 44, ntyp = 3
/
ATOMIC_SPECIES
Ba 137.33 Ba.upf
Sn 118.71 Sn.upf
Sb 121.76 Sb.upf
CELL_PARAMETERS angstrom
13.592 0.000 0.000
0.000 4.460 0.000
0.000 0.000 25.230
ATOMIC_POSITIONS crystal
Ba 0.050 0.250 0.080
Ba 0.131 0.250 0.391
Ba 0.369 0.750 0.891
Ba 0.450 0.750 0.580
Ba 0.550 0.250 0.420
Ba 0.631 0.250 0.109
Ba 0.869 0.750 0.609
Ba 0.950 0.750 0.920
Sn 0.043 0.250 0.250
Sn 0.178 0.750 0.596
Sn 0.195 0.250 0.731
Sn 0.305 0.750 0.231
Sn 0.322 0.250 0.096
Sn 0.457 0.750 0.750
Sn 0.543 0.250 0.250
Sn 0.678 0.750 0.904
Sn 0.695 0.250 0.769
Sn 0.805 0.750 0.269
Sn 0.822 0.250 0.404
Sn 0.957 0.750 0.750
Sb 0.067 0.250 0.643
Sb 0.069 0.750 0.497
Sb 0.115 0.750 0.186
Sb 0.152 0.750 0.799
Sb 0.160 0.250 0.922
Sb 0.196 0.750 0.996
Sb 0.304 0.250 0.496
Sb 0.340 0.750 0.422
Sb 0.348 0.250 0.299
Sb 0.385 0.250 0.686
Sb 0.431 0.250 0.997
Sb 0.433 0.750 0.143
Sb 0.567 0.250 0.857
Sb 0.569 0.750 0.003
Sb 0.615 0.750 0.314
Sb 0.652 0.750 0.701
Sb 0.660 0.250 0.578
Sb 0.696 0.750 0.504
Sb 0.804 0.250 0.004
Sb 0.840 0.750 0.078
Sb 0.848 0.250 0.201
Sb 0.885 0.250 0.814
Sb 0.931 0.250 0.503
Sb 0.933 0.750 0.357
```

* crystal system: orthorhombic
* E_tot: -26.074 eV per atom
* formation enthalpy at 0 K: -0.49 eV/atom


[5]
Below is an optimized crystal structure of BaSbTe3, with properties calculated at the r²SCAN level. Values from VASP.

Cell and atoms, written as Quantum ESPRESSO input:
```
&SYSTEM
  ibrav = 0, nat = 40, ntyp = 3
/
ATOMIC_SPECIES
Ba 137.33 Ba.upf
Sb 121.76 Sb.upf
Te 127.60 Te.upf
CELL_PARAMETERS angstrom
4.689 0.000 0.000
0.000 17.311 0.000
0.000 0.000 18.236
ATOMIC_POSITIONS crystal
Ba 0.233 0.104 0.405
Ba 0.237 0.960 0.168
Ba 0.263 0.040 0.668
Ba 0.267 0.896 0.905
Ba 0.733 0.396 0.595
Ba 0.737 0.540 0.832
Ba 0.763 0.460 0.332
Ba 0.767 0.604 0.095
Sb 0.213 0.371 0.028
Sb 0.215 0.284 0.802
Sb 0.285 0.716 0.302
Sb 0.287 0.629 0.528
Sb 0.713 0.129 0.972
Sb 0.715 0.216 0.198
Sb 0.785 0.784 0.698
Sb 0.787 0.871 0.472
Te 0.174 0.712 0.807
Te 0.204 0.237 0.561
Te 0.214 0.822 0.592
Te 0.234 0.433 0.732
Te 0.236 0.897 0.370
Te 0.249 0.474 0.474
Te 0.251 0.526 0.974
Te 0.264 0.103 0.870
Te 0.266 0.567 0.232
Te 0.286 0.178 0.092
Te 0.296 0.763 0.061
Te 0.326 0.288 0.307
Te 0.674 0.788 0.193
Te 0.704 0.263 0.439
Te 0.714 0.678 0.408
Te 0.734 0.067 0.268
Te 0.736 0.603 0.630
Te 0.749 0.026 0.526
Te 0.751 0.974 0.026
Te 0.764 0.397 0.130
Te 0.766 0.933 0.768
Te 0.786 0.322 0.908
Te 0.796 0.737 0.939
Te 0.826 0.212 0.693
```

* crystal system: orthorhombic
* E_tot: -26.594 eV per atom
* formation enthalpy at 0 K: -0.90 eV/atom


[6]
Below is an optimized crystal structure of Ba2ZnSb2, with properties calculated at the r²SCAN level. Values from VASP.

Cell and atoms, written as Quantum ESPRESSO input:
```
&SYSTEM
  ibrav = 0, nat = 10, ntyp = 3
/
ATOMIC_SPECIES
Ba 137.33 Ba.upf
Zn 65.41 Zn.upf
Sb 121.76 Sb.upf
CELL_PARAMETERS angstrom
-3.634 7.141 3.517
3.634 -7.141 3.517
3.634 7.141 -3.517
ATOMIC_POSITIONS crystal
Ba 0.137 0.204 0.341
Ba 0.363 0.704 0.067
Ba 0.637 0.296 0.933
Ba 0.863 0.796 0.659
Zn 0.250 0.750 0.500
Zn 0.750 0.250 0.500
Sb 0.110 0.705 0.815
Sb 0.390 0.205 0.595
Sb 0.610 0.795 0.405
Sb 0.890 0.295 0.185
```

* crystal system: orthorhombic
* E_tot: -23.686 eV per atom
* formation enthalpy at 0 K: -1.02 eV/atom